Entry from the Materials Project: a relaxed structure of LiCuPO4 (PBE-GGA).

Symmetry ... No. 1
Energy of formation from the pure elements ... -2.096 eV/atom
Polymorph energy (0 for the lowest one) ... 101 meV per atom

a = 5.211 Å, b = 6.249 Å, c = 10.506 Å
α = 89.83°, β = 89.40°, γ = 89.84°
Fractional coordinates of all 28 atoms:
Li1 0.000 0.000 0.000
Li2 0.001 0.454 0.005
Li3 0.372 0.988 0.327
Li4 0.528 0.457 0.837
Cu1 0.400 0.727 0.082
Cu2 0.470 0.724 0.588
Cu3 0.884 0.455 0.494
Cu4 0.908 0.980 0.506
P1 0.006 0.726 0.765
P2 0.388 0.228 0.594
P3 0.511 0.225 0.093
P4 0.878 0.727 0.253
O1 0.087 0.230 0.574
O2 0.307 0.705 0.751
O3 0.386 0.020 0.028
O4 0.393 0.429 0.020
O5 0.431 0.230 0.231
O6 0.467 0.226 0.729
O7 0.486 0.025 0.516
O8 0.494 0.433 0.519
O9 0.582 0.751 0.248
O10 0.801 0.225 0.067
O11 0.894 0.528 0.830
O12 0.905 0.727 0.617
O13 0.934 0.934 0.828
O14 0.955 0.519 0.324
O15 0.992 0.725 0.116
O16 0.996 0.916 0.331